[1]
# LiCuBO3 GGA-PBE relaxed
# ΔE to the lowest computed polymorph   17 meV per atom
data_LiCuBO3
_cell_length_a 5.168
_cell_length_b 5.245
_cell_length_c 16.818
_cell_angle_alpha 90.00
_cell_angle_beta 90.00
_cell_angle_gamma 90.00
_symmetry_space_group_name_H-M 'P 1'
_symmetry_Int_Tables_number 1
loop_
_symmetry_equiv_pos_as_xyz
'x,y,z'
loop_
_atom_site_label
_atom_site_fract_x
_atom_site_fract_y
_atom_site_fract_z
B1 0.013 0.796 0.625
O1 0.046 0.752 0.705
B2 0.013 0.704 0.125
Cu1 0.995 0.311 0.569
Cu2 0.005 0.811 0.931
Cu3 0.005 0.689 0.431
O2 0.666 0.014 0.102
O3 0.954 0.252 0.795
Li1 0.251 0.506 0.764
Li2 0.751 0.994 0.236
O4 0.954 0.248 0.295
O5 0.546 0.748 0.295
B3 0.487 0.204 0.125
O6 0.166 0.486 0.898
O7 0.046 0.748 0.205
O8 0.834 0.986 0.602
B4 0.513 0.796 0.875
Li3 0.251 0.994 0.264
Cu4 0.495 0.189 0.431
O9 0.648 0.663 0.935
Li4 0.749 0.006 0.736
Cu5 0.505 0.689 0.069
O10 0.648 0.837 0.435
B5 0.487 0.296 0.625
O11 0.148 0.837 0.065
Li5 0.749 0.494 0.236
O12 0.334 0.986 0.898
O13 0.166 0.014 0.398
O14 0.148 0.663 0.565
B6 0.513 0.704 0.375
B7 0.987 0.204 0.375
B8 0.987 0.296 0.875
O15 0.352 0.337 0.065
Li6 0.249 0.494 0.264
O16 0.546 0.752 0.795
O17 0.454 0.248 0.205
O18 0.352 0.163 0.565
O19 0.454 0.252 0.705
O20 0.852 0.163 0.935
O21 0.334 0.514 0.398
Cu6 0.495 0.311 0.931
O22 0.666 0.486 0.602
O23 0.834 0.514 0.102
Li7 0.249 0.006 0.764
Li8 0.751 0.506 0.736
Cu7 0.505 0.811 0.569
O24 0.852 0.337 0.435
Cu8 0.995 0.189 0.069



[2]
# Li5Cu4B4O12 GGA-PBE relaxed
# E_tot   -6.18 eV per atom
data_Li5Cu4B4O12
_cell_length_a 5.160
_cell_length_b 5.169
_cell_length_c 10.266
_cell_angle_alpha 89.96
_cell_angle_beta 91.62
_cell_angle_gamma 119.75
_symmetry_space_group_name_H-M 'P 1'
_symmetry_Int_Tables_number 1
loop_
_symmetry_equiv_pos_as_xyz
'x,y,z'
loop_
_atom_site_label
_atom_site_fract_x
_atom_site_fract_y
_atom_site_fract_z
O1 0.750 0.053 0.593
O2 0.264 0.919 0.417
Cu1 0.032 0.680 0.884
Li1 0.688 0.662 0.153
O3 0.919 0.264 0.927
O4 0.282 0.381 0.621
Li2 0.337 0.333 0.923
O5 0.743 0.641 0.355
B1 0.995 0.336 0.624
Li3 0.336 0.300 0.332
Li4 0.628 0.669 0.717
O6 0.640 0.738 0.890
O7 0.357 0.268 0.128
B2 0.658 0.010 0.885
Cu2 0.677 0.037 0.368
Li5 0.654 0.631 0.527
O8 0.079 0.744 0.087
O9 0.944 0.572 0.655
O10 0.416 0.042 0.836
Cu3 0.322 0.997 0.628
Cu4 0.975 0.326 0.127
B3 0.340 0.995 0.127
O11 0.584 0.966 0.168
B4 0.018 0.661 0.366
O12 0.049 0.420 0.327



[3]
# LiCuBO3 GGA-PBE relaxed
# ΔE to the lowest computed polymorph   7 meV per atom
data_LiCuBO3
_cell_length_a 8.095
_cell_length_b 8.095
_cell_length_c 3.050
_cell_angle_alpha 90.00
_cell_angle_beta 90.00
_cell_angle_gamma 120.00
_symmetry_space_group_name_H-M 'P 1'
_symmetry_Int_Tables_number 1
loop_
_symmetry_equiv_pos_as_xyz
'x,y,z'
loop_
_atom_site_label
_atom_site_fract_x
_atom_site_fract_y
_atom_site_fract_z
Li1 0.352 0.965 0.500
O1 0.749 0.220 0.500
O2 0.119 0.197 0.500
Cu1 0.714 0.034 0.000
O3 0.444 0.581 0.000
O4 0.419 0.863 0.000
O5 0.137 0.556 0.000
O6 0.078 0.881 0.500
O7 0.803 0.922 0.500
O8 0.780 0.530 0.500
Li2 0.035 0.387 0.500
Cu2 0.320 0.286 0.000
O9 0.470 0.251 0.500
Li3 0.613 0.648 0.500
B1 0.667 0.333 0.500
Cu3 0.966 0.680 0.000
B2 0.333 0.667 0.000
B3 0.000 0.000 0.500



[4]
# LiCuBO3 GGA-PBE relaxed
# ΔE to the lowest computed polymorph   23 meV per atom
data_LiCuBO3
_cell_length_a 8.107
_cell_length_b 8.156
_cell_length_c 3.119
_cell_angle_alpha 90.00
_cell_angle_beta 90.00
_cell_angle_gamma 120.11
_symmetry_space_group_name_H-M 'P 1'
_symmetry_Int_Tables_number 1
loop_
_symmetry_equiv_pos_as_xyz
'x,y,z'
loop_
_atom_site_label
_atom_site_fract_x
_atom_site_fract_y
_atom_site_fract_z
O1 0.473 0.268 0.000
Li1 0.705 0.021 0.500
O2 0.730 0.205 0.000
O3 0.416 0.860 0.500
O4 0.136 0.552 0.500
B1 0.334 0.667 0.500
O5 0.107 0.196 0.000
O6 0.805 0.911 0.000
B2 0.666 0.333 0.000
O7 0.446 0.582 0.500
O8 0.091 0.895 0.000
Cu1 0.012 0.372 0.000
Cu2 0.628 0.640 0.000
Li2 0.978 0.683 0.500
Li3 0.316 0.295 0.500
B3 0.001 0.001 0.000
Cu3 0.363 0.993 0.000
O9 0.793 0.525 0.000



[5]
# LiCuBO3 GGA-PBE relaxed
# ΔE to the lowest computed polymorph   30 meV per atom
data_LiCuBO3
_cell_length_a 3.142
_cell_length_b 14.069
_cell_length_c 14.080
_cell_angle_alpha 119.74
_cell_angle_beta 91.41
_cell_angle_gamma 89.67
_symmetry_space_group_name_H-M 'P 1'
_symmetry_Int_Tables_number 1
loop_
_symmetry_equiv_pos_as_xyz
'x,y,z'
loop_
_atom_site_label
_atom_site_fract_x
_atom_site_fract_y
_atom_site_fract_z
Cu1 0.031 0.420 0.887
O1 0.021 0.109 0.081
O2 0.021 0.318 0.562
B1 0.491 0.009 0.331
O3 0.483 0.023 0.240
Li1 0.497 0.251 0.449
O4 0.055 0.093 0.754
B2 0.468 0.670 0.677
B3 0.992 0.000 0.000
Cu2 0.032 0.117 0.536
Li2 0.510 0.199 0.751
Cu3 0.060 0.453 0.209
O5 0.990 0.244 0.682
Li3 0.512 0.221 0.125
Cu4 0.004 0.785 0.883
O6 0.058 0.662 0.909
O7 0.970 0.918 0.028
B4 0.010 0.667 0.008
Cu5 0.972 0.100 0.218
Li4 0.516 0.891 0.453
B5 0.537 0.323 0.992
Cu6 0.936 0.755 0.544
Li5 0.494 0.877 0.097
O8 0.530 0.336 0.900
O9 0.938 0.442 0.430
O10 0.912 0.900 0.665
Li6 0.548 0.562 0.110
Cu7 0.991 0.794 0.246
Cu8 0.960 0.467 0.581
Li7 0.484 0.902 0.778
B6 0.986 0.342 0.335
Cu9 0.032 0.119 0.902
O11 0.928 0.247 0.339
O12 0.489 0.906 0.318
O13 0.047 0.570 0.013
O14 0.943 0.623 0.401
O15 0.481 0.760 0.782
O16 0.504 0.101 0.436
O17 0.547 0.412 0.096
O18 0.060 0.600 0.224
Li8 0.444 0.547 0.439
O19 0.001 0.779 0.379
O20 0.922 0.766 0.100
O21 0.039 0.990 0.559
O22 0.986 0.972 0.891
O23 0.987 0.438 0.756
O24 0.477 0.564 0.664
B7 0.002 0.667 0.334
O25 0.097 0.335 0.236
O26 0.531 0.217 0.977
O27 0.447 0.682 0.586
B8 0.003 0.993 0.659
Li9 0.498 0.552 0.802
B9 0.999 0.334 0.667



[6]
# LiCuBO3 GGA-PBE relaxed
# ΔE to the lowest computed polymorph   0 meV per atom
data_LiCuBO3
_cell_length_a 5.223
_cell_length_b 5.223
_cell_length_c 9.588
_cell_angle_alpha 88.98
_cell_angle_beta 88.98
_cell_angle_gamma 119.28
_symmetry_space_group_name_H-M 'P 1'
_symmetry_Int_Tables_number 1
loop_
_symmetry_equiv_pos_as_xyz
'x,y,z'
loop_
_atom_site_label
_atom_site_fract_x
_atom_site_fract_y
_atom_site_fract_z
Li1 0.674 0.655 0.843
O1 0.360 0.270 0.886
O2 0.034 0.419 0.665
Li2 0.341 0.339 0.093
O3 0.919 0.251 0.078
O4 0.734 0.647 0.634
O5 0.251 0.919 0.578
B1 0.999 0.661 0.625
Cu1 0.669 0.020 0.621
Li3 0.339 0.341 0.593
O6 0.419 0.034 0.165
B2 0.003 0.341 0.375
B3 0.661 0.999 0.125
Cu2 0.981 0.325 0.870
O7 0.746 0.080 0.414
Cu3 0.325 0.981 0.370
B4 0.341 0.003 0.875
Cu4 0.020 0.669 0.121
O8 0.080 0.746 0.914
O9 0.647 0.734 0.134
O10 0.971 0.581 0.328
O11 0.270 0.360 0.386
Li4 0.655 0.674 0.343
O12 0.581 0.971 0.828



[7]
# LiCuBO3 GGA-PBE relaxed
# ΔE to the lowest computed polymorph   4 meV per atom
data_LiCuBO3
_cell_length_a 5.191
_cell_length_b 5.208
_cell_length_c 5.561
_cell_angle_alpha 91.05
_cell_angle_beta 114.56
_cell_angle_gamma 119.29
_symmetry_space_group_name_H-M 'P 1'
_symmetry_Int_Tables_number 1
loop_
_symmetry_equiv_pos_as_xyz
'x,y,z'
loop_
_atom_site_label
_atom_site_fract_x
_atom_site_fract_y
_atom_site_fract_z
O1 0.977 0.694 0.336
O2 0.765 0.795 0.716
Li1 0.450 0.385 0.692
Cu1 0.164 0.774 0.748
O3 0.639 0.144 0.845
Cu2 0.836 0.226 0.252
O4 0.023 0.306 0.664
B1 0.817 0.080 0.747
O5 0.235 0.205 0.284
O6 0.361 0.856 0.155
B2 0.183 0.920 0.253
Li2 0.550 0.615 0.308



[8]
# Li2CuB4Pb2O10 GGA-PBE relaxed
# E_tot   -6.79 eV per atom
data_Li2CuB4Pb2O10
_cell_length_a 8.898
_cell_length_b 8.898
_cell_length_c 14.064
_cell_angle_alpha 56.50
_cell_angle_beta 56.50
_cell_angle_gamma 31.73
_symmetry_space_group_name_H-M 'P 1'
_symmetry_Int_Tables_number 1
loop_
_symmetry_equiv_pos_as_xyz
'x,y,z'
loop_
_atom_site_label
_atom_site_fract_x
_atom_site_fract_y
_atom_site_fract_z
Pb1 0.647 0.289 0.139
B1 0.083 0.666 0.479
O1 0.868 0.799 0.029
Cu1 0.000 0.500 0.000
O2 0.568 0.195 0.880
O3 0.820 0.436 0.782
Li1 0.876 0.497 0.864
Li2 0.124 0.503 0.136
O4 0.254 0.154 0.644
Li3 0.497 0.876 0.364
O5 0.180 0.564 0.218
O6 0.456 0.706 0.985
O7 0.706 0.456 0.485
Cu2 0.500 0.000 0.500
O8 0.132 0.201 0.971
O9 0.544 0.294 0.015
O10 0.432 0.805 0.120
O11 0.195 0.568 0.380
Pb2 0.353 0.711 0.861
O12 0.154 0.254 0.144
O13 0.846 0.746 0.856
B2 0.917 0.334 0.521
B3 0.036 0.658 0.319
B4 0.342 0.964 0.181
O14 0.201 0.132 0.471
O15 0.799 0.868 0.529
B5 0.334 0.917 0.021
Pb3 0.289 0.647 0.639
O16 0.805 0.432 0.620
O17 0.746 0.846 0.356
Li4 0.503 0.124 0.636
Pb4 0.711 0.353 0.361
B6 0.964 0.342 0.681
O18 0.564 0.180 0.718
B7 0.666 0.083 0.979
B8 0.658 0.036 0.819
O19 0.294 0.544 0.515
O20 0.436 0.820 0.282